#A
Entry from the Materials Project database: CoP2O7 after structural relaxation (PBE with a Hubbard U).

The structure in CIF format:
```
data_CoP2O7
_chemical_formula_sum 'Co4 P8 O28'
_cell_length_a 7.107
_cell_length_b 8.273
_cell_length_c 9.282
_cell_angle_alpha 90.00
_cell_angle_beta 114.12
_cell_angle_gamma 90.00
_symmetry_space_group_name_H-M 'P 1 21/c 1'
_symmetry_Int_Tables_number 14
_symmetry_space_group_name_Hall '-P 2ybc'
loop_
_atom_site_label
_atom_site_fract_x
_atom_site_fract_y
_atom_site_fract_z
_atom_site_occupancy
Co1 0.240 0.085 0.365 1
P1 0.039 0.745 0.466 1
P2 0.433 0.726 0.752 1
O1 0.026 0.112 0.162 1
O2 0.108 0.599 0.917 1
O3 0.128 0.235 0.471 1
O4 0.235 0.662 0.603 1
O5 0.388 0.615 0.317 1
O6 0.399 0.245 0.308 1
O7 0.474 0.587 0.873 1
```

#B
Entry from the Materials Project database: CoP2O7 after structural relaxation (PBE with a Hubbard U).

The structure in CIF format:
```
data_CoP2O7
_chemical_formula_sum 'Co4 P8 O28'
_cell_length_a 5.097
_cell_length_b 8.720
_cell_length_c 12.289
_cell_angle_alpha 103.27
_cell_angle_beta 90.05
_cell_angle_gamma 90.23
_symmetry_space_group_name_H-M 'P 1'
_symmetry_Int_Tables_number 1
_symmetry_space_group_name_Hall 'P 1'
loop_
_atom_site_label
_atom_site_fract_x
_atom_site_fract_y
_atom_site_fract_z
_atom_site_occupancy
Co1 0.000 0.000 0.000 1
Co2 0.000 0.499 0.496 1
Co3 0.500 0.480 0.939 1
Co4 0.504 0.982 0.437 1
P1 0.012 0.274 0.835 1
P2 0.021 0.179 0.586 1
P3 0.486 0.312 0.352 1
P4 0.489 0.220 0.106 1
P5 0.513 0.707 0.600 1
P6 0.518 0.801 0.851 1
P7 0.988 0.757 0.329 1
P8 0.989 0.665 0.083 1
O1 0.009 0.660 0.416 1
O2 0.013 0.841 0.091 1
O3 0.032 0.640 0.208 1
O4 0.187 0.563 0.011 1
O5 0.204 0.883 0.347 1
O6 0.206 0.369 0.384 1
O7 0.221 0.142 0.111 1
O8 0.288 0.347 0.828 1
O9 0.293 0.583 0.585 1
O10 0.297 0.117 0.555 1
O11 0.314 0.905 0.919 1
O12 0.473 0.816 0.724 1
O13 0.488 0.623 0.845 1
O14 0.495 0.817 0.522 1
O15 0.510 0.318 0.019 1
O16 0.511 0.135 0.345 1
O17 0.533 0.336 0.227 1
O18 0.687 0.416 0.425 1
O19 0.705 0.096 0.088 1
O20 0.705 0.610 0.052 1
O21 0.721 0.835 0.324 1
O22 0.786 0.632 0.606 1
O23 0.791 0.395 0.850 1
O24 0.796 0.863 0.882 1
O25 0.818 0.073 0.515 1
O26 0.972 0.163 0.712 1
O27 0.986 0.355 0.591 1
O28 0.997 0.166 0.914 1
```

#C
Entry from the Materials Project database: CoP2O7 after structural relaxation (PBE with a Hubbard U).

The structure in CIF format:
```
data_CoP2O7
_chemical_formula_sum 'Co4 P8 O28'
_cell_length_a 5.037
_cell_length_b 8.151
_cell_length_c 14.844
_cell_angle_alpha 90.00
_cell_angle_beta 108.73
_cell_angle_gamma 90.00
_symmetry_space_group_name_H-M 'P 1 21/c 1'
_symmetry_Int_Tables_number 14
_symmetry_space_group_name_Hall '-P 2ybc'
loop_
_atom_site_label
_atom_site_fract_x
_atom_site_fract_y
_atom_site_fract_z
_atom_site_occupancy
Co1 0.090 0.150 0.388 1
P1 0.078 0.530 0.326 1
P2 0.284 0.702 0.973 1
O1 0.110 0.579 0.897 1
O2 0.168 0.626 0.252 1
O3 0.189 0.144 0.845 1
O4 0.204 0.618 0.428 1
O5 0.208 0.703 0.064 1
O6 0.242 0.046 0.211 1
O7 0.401 0.179 0.507 1
```

Result of the stability comparison: #B is the most stable of them.

#A
Entry from the Materials Project database: Li2VF6 after structural relaxation (PBE with a Hubbard U).

The structure in CIF format:
```
data_Li2VF6
_chemical_formula_sum 'Li4 V2 F12'
_cell_length_a 4.684
_cell_length_b 4.684
_cell_length_c 9.152
_cell_angle_alpha 90.00
_cell_angle_beta 90.00
_cell_angle_gamma 90.00
_symmetry_space_group_name_H-M 'P 42/m n m'
_symmetry_Int_Tables_number 136
_symmetry_space_group_name_Hall '-P 4n 2n'
loop_
_atom_site_label
_atom_site_fract_x
_atom_site_fract_y
_atom_site_fract_z
_atom_site_occupancy
Li1 0.000 0.000 0.166 1
V1 0.000 0.000 0.500 1
F1 0.193 0.193 0.346 1
F2 0.221 0.221 0.000 1
```

#B
Entry from the Materials Project database: Li2VF6 after structural relaxation (PBE with a Hubbard U).

The structure in CIF format:
```
data_Li2VF6
_chemical_formula_sum 'Li12 V6 F36'
_cell_length_a 15.210
_cell_length_b 8.709
_cell_length_c 4.530
_cell_angle_alpha 90.00
_cell_angle_beta 90.38
_cell_angle_gamma 90.00
_symmetry_space_group_name_H-M 'C 1 2 1'
_symmetry_Int_Tables_number 5
_symmetry_space_group_name_Hall 'C 2y'
loop_
_atom_site_label
_atom_site_fract_x
_atom_site_fract_y
_atom_site_fract_z
_atom_site_occupancy
Li1 0.000 0.000 0.000 1
Li2 0.000 0.310 0.000 1
Li3 0.172 0.485 0.002 1
Li4 0.172 0.825 0.002 1
V1 0.000 0.656 0.000 1
V2 0.167 0.155 0.497 1
F1 0.053 0.495 0.214 1
F2 0.053 0.815 0.214 1
F3 0.063 0.155 0.249 1
F4 0.106 0.655 0.788 1
F5 0.116 0.005 0.736 1
F6 0.116 0.305 0.736 1
F7 0.218 0.003 0.254 1
F8 0.218 0.307 0.254 1
F9 0.231 0.655 0.259 1
```

Result of the stability comparison: #A is the most stable of them.

#A
Entry from the Materials Project database: NiH2O2 after structural relaxation (PBE with a Hubbard U).

The structure in CIF format:
```
data_NiH2O2
_chemical_formula_sum 'Ni1 H2 O2'
_cell_length_a 3.3412
_cell_length_b 3.3412
_cell_length_c 4.3965
_cell_angle_alpha 90.00
_cell_angle_beta 90.00
_cell_angle_gamma 120.00
_symmetry_space_group_name_H-M 'P 3 m 1'
_symmetry_Int_Tables_number 156
_symmetry_space_group_name_Hall 'P 3 -2"'
loop_
_atom_site_label
_atom_site_fract_x
_atom_site_fract_y
_atom_site_fract_z
_atom_site_occupancy
Ni1 0.0000 0.0000 0.0000 1
H1 0.3333 0.6667 0.4417 1
H2 0.6667 0.3333 0.0285 1
O1 0.3333 0.6667 0.2187 1
O2 0.6667 0.3333 0.8021 1
```

#B
Entry from the Materials Project database: NiH2O2 after structural relaxation (PBE with a Hubbard U).

The structure in CIF format:
```
data_NiH2O2
_chemical_formula_sum 'Ni2 H4 O4'
_cell_length_a 5.460
_cell_length_b 3.153
_cell_length_c 4.663
_cell_angle_alpha 90.00
_cell_angle_beta 90.58
_cell_angle_gamma 90.00
_symmetry_space_group_name_H-M 'C 1 2 1'
_symmetry_Int_Tables_number 5
_symmetry_space_group_name_Hall 'C 2y'
loop_
_atom_site_label
_atom_site_fract_x
_atom_site_fract_y
_atom_site_fract_z
_atom_site_occupancy
Ni1 0.000 0.000 0.000 1
H1 0.168 0.518 0.429 1
O1 0.168 0.502 0.220 1
```

Result of the stability comparison: #B is the most stable of them.

#A
Entry from the Materials Project database: Sr4LaMn5O13 after structural relaxation (PBE with a Hubbard U).

The structure in CIF format:
```
data_Sr4LaMn5O13
_chemical_formula_sum 'Sr16 La4 Mn20 O52'
_cell_length_a 17.707
_cell_length_b 7.659
_cell_length_c 8.886
_cell_angle_alpha 90.00
_cell_angle_beta 90.37
_cell_angle_gamma 90.00
_symmetry_space_group_name_H-M 'C 1 m 1'
_symmetry_Int_Tables_number 8
_symmetry_space_group_name_Hall 'C -2y'
loop_
_atom_site_label
_atom_site_fract_x
_atom_site_fract_y
_atom_site_fract_z
_atom_site_occupancy
Sr1 0.000 0.247 0.000 1
Sr2 0.095 0.250 0.430 1
Sr3 0.300 0.251 0.205 1
Sr4 0.399 0.252 0.633 1
La1 0.197 0.249 0.819 1
Mn1 0.048 0.500 0.712 1
Mn2 0.049 0.000 0.711 1
Mn3 0.145 0.500 0.124 1
Mn4 0.147 0.000 0.126 1
Mn5 0.251 0.500 0.513 1
Mn6 0.252 0.000 0.516 1
Mn7 0.349 0.500 0.921 1
Mn8 0.350 0.000 0.924 1
Mn9 0.447 0.500 0.312 1
Mn10 0.448 0.000 0.318 1
O1 0.047 0.000 0.227 1
O2 0.048 0.500 0.237 1
O3 0.053 0.254 0.715 1
O4 0.105 0.500 0.899 1
O5 0.112 0.000 0.909 1
O6 0.150 0.000 0.603 1
O7 0.150 0.500 0.602 1
O8 0.154 0.251 0.157 1
O9 0.242 0.248 0.482 1
O10 0.243 0.500 0.036 1
O11 0.247 0.000 0.046 1
O12 0.291 0.000 0.736 1
O13 0.291 0.500 0.734 1
O14 0.345 0.250 0.919 1
O15 0.348 0.500 0.397 1
O16 0.349 0.000 0.405 1
O17 0.405 0.500 0.113 1
O18 0.407 0.000 0.121 1
O19 0.452 0.000 0.815 1
O20 0.454 0.500 0.810 1
O21 0.490 0.500 0.504 1
O22 0.492 0.000 0.516 1
```

#B
Entry from the Materials Project database: Sr4LaMn5O13 after structural relaxation (PBE with a Hubbard U).

The structure in CIF format:
```
data_Sr4LaMn5O13
_chemical_formula_sum 'Sr4 La1 Mn5 O13'
_cell_length_a 8.796
_cell_length_b 3.894
_cell_length_c 8.843
_cell_angle_alpha 90.00
_cell_angle_beta 90.61
_cell_angle_gamma 90.00
_symmetry_space_group_name_H-M 'P 1 m 1'
_symmetry_Int_Tables_number 6
_symmetry_space_group_name_Hall 'P -2y'
loop_
_atom_site_label
_atom_site_fract_x
_atom_site_fract_y
_atom_site_fract_z
_atom_site_occupancy
Sr1 0.000 0.000 0.000 1
Sr2 0.164 0.000 0.600 1
Sr3 0.379 0.000 0.220 1
Sr4 0.771 0.000 0.433 1
La1 0.605 0.000 0.834 1
Mn1 0.080 0.500 0.312 1
Mn2 0.286 0.500 0.910 1
Mn3 0.479 0.500 0.524 1
Mn4 0.687 0.500 0.125 1
Mn5 0.886 0.500 0.716 1
O1 0.050 0.000 0.294 1
O2 0.101 0.500 0.790 1
O3 0.178 0.500 0.115 1
O4 0.283 0.500 0.430 1
O5 0.311 0.000 0.877 1
O6 0.468 0.000 0.565 1
O7 0.491 0.500 0.992 1
O8 0.591 0.500 0.320 1
O9 0.659 0.500 0.657 1
O10 0.712 0.000 0.132 1
O11 0.803 0.500 0.939 1
O12 0.875 0.000 0.720 1
O13 0.954 0.500 0.492 1
```

Result of the stability comparison: #B is the most stable of them.

#A
Entry from the Materials Project database: MgFe3Ni2SbP6O24 after structural relaxation (PBE with a Hubbard U).

The structure in CIF format:
```
data_MgFe3Ni2SbP6O24
_chemical_formula_sum 'Mg3 Fe9 Ni6 Sb3 P18 O72'
_cell_length_a 8.6970
_cell_length_b 8.6970
_cell_length_c 21.3103
_cell_angle_alpha 90.00
_cell_angle_beta 90.00
_cell_angle_gamma 120.00
_symmetry_space_group_name_H-M 'R 3'
_symmetry_Int_Tables_number 146
_symmetry_space_group_name_Hall 'R 3'
loop_
_atom_site_label
_atom_site_fract_x
_atom_site_fract_y
_atom_site_fract_z
_atom_site_occupancy
Mg1 0.0000 0.0000 0.0000 1
Fe1 0.0000 0.0000 0.1219 1
Fe2 0.0000 0.0000 0.6024 1
Fe3 0.0000 0.0000 0.8773 1
Ni1 0.0000 0.0000 0.2505 1
Ni2 0.0000 0.0000 0.7443 1
Sb1 0.0000 0.0000 0.3964 1
P1 0.0031 0.7090 0.5013 1
P2 0.0355 0.3641 0.6678 1
O1 0.0015 0.1726 0.6716 1
O2 0.0088 0.1994 0.9435 1
O3 0.0270 0.8307 0.1844 1
O4 0.0474 0.8374 0.5556 1
O5 0.1444 0.4698 0.7248 1
O6 0.1604 0.6849 0.4814 1
O7 0.1608 0.7080 0.1074 1
O8 0.1703 0.4919 0.9966 1
```

#B
Entry from the Materials Project database: MgFe3Ni2SbP6O24 after structural relaxation (PBE with a Hubbard U).

The structure in CIF format:
```
data_MgFe3Ni2SbP6O24
_chemical_formula_sum 'Mg3 Fe9 Ni6 Sb3 P18 O72'
_cell_length_a 8.6737
_cell_length_b 8.6737
_cell_length_c 22.0893
_cell_angle_alpha 90.00
_cell_angle_beta 90.00
_cell_angle_gamma 120.00
_symmetry_space_group_name_H-M 'R 3'
_symmetry_Int_Tables_number 146
_symmetry_space_group_name_Hall 'R 3'
loop_
_atom_site_label
_atom_site_fract_x
_atom_site_fract_y
_atom_site_fract_z
_atom_site_occupancy
Mg1 0.0000 0.0000 0.0000 1
Fe1 0.0000 0.0000 0.2749 1
Fe2 0.0000 0.0000 0.4720 1
Fe3 0.0000 0.0000 0.8737 1
Ni1 0.0000 0.0000 0.1340 1
Ni2 0.0000 0.0000 0.6063 1
Sb1 0.0000 0.0000 0.7405 1
P1 0.0004 0.6944 0.8781 1
P2 0.0509 0.3758 0.0402 1
O1 0.0111 0.1871 0.0587 1
O2 0.0133 0.8368 0.5439 1
O3 0.0142 0.8129 0.8231 1
O4 0.0488 0.2167 0.4291 1
O5 0.1520 0.6781 0.5981 1
O6 0.1604 0.4655 0.3486 1
O7 0.1641 0.6691 0.8746 1
O8 0.1785 0.4514 0.9868 1
```

Result of the stability comparison: #A is the most stable of them.